Entry 1:
Here is a relaxed SmTl crystal from the Materials Project. Energies are from r2SCAN.

## Properties
The calculated total energy comes out at -83.90 eV per formula unit. For the total magnetization, the calculation gives 0.000 μB/f.u. The calculation puts the mass density at 10.43 g cm⁻³. As for the energy relative to the elements: -47.5 kJ per mole of atoms.

```
data_SmTl
_chemical_formula_sum 'Sm2 Tl2'
_symmetry_space_group_name_H-M 'P 1'
_symmetry_Int_Tables_number 1
_symmetry_space_group_name_Hall 'P 1'
_cell_length_a 4.252
_cell_length_b 5.153
_cell_length_c 5.153
_cell_angle_alpha 90.00
_cell_angle_beta 90.00
_cell_angle_gamma 90.00
loop_
_atom_site_label
_atom_site_fract_x
_atom_site_fract_y
_atom_site_fract_z
Sm1 0.000 0.000 0.000
Sm2 0.000 0.500 0.500
Tl1 0.500 0.000 0.500
Tl2 0.500 0.500 0.000
```



Entry 2:
Here is a relaxed Sm2Tl crystal from the Materials Project. Energies are from r2SCAN.

## Properties
The calculated total energy comes out at -113.83 eV per formula unit. For the total magnetization, the calculation gives 0.978 μB/f.u. The calculation puts the mass density at 9.38 g cm⁻³. As for the energy relative to the elements: -38.1 kJ per mole of atoms.

```
data_Sm2Tl
_chemical_formula_sum 'Sm4 Tl2'
_symmetry_space_group_name_H-M 'P 1'
_symmetry_Int_Tables_number 1
_symmetry_space_group_name_Hall 'P 1'
_cell_length_a 5.498
_cell_length_b 5.498
_cell_length_c 6.829
_cell_angle_alpha 90.00
_cell_angle_beta 90.00
_cell_angle_gamma 120.00
loop_
_atom_site_label
_atom_site_fract_x
_atom_site_fract_y
_atom_site_fract_z
Sm1 0.000 0.000 0.000
Sm2 0.000 0.000 0.500
Sm3 0.333 0.667 0.750
Sm4 0.667 0.333 0.250
Tl1 0.333 0.667 0.250
Tl2 0.667 0.333 0.750
```



Entry 3:
Here is a relaxed SmTmTl2 crystal from the Materials Project. Energies are from r2SCAN.

## Properties
The calculated total energy comes out at -172.96 eV per formula unit. For the total magnetization, the calculation gives 0.000 μB/f.u. The calculation puts the mass density at 11.14 g cm⁻³. As for the energy relative to the elements: -42.2 kJ per mole of atoms.

```
data_SmTmTl2
_chemical_formula_sum 'Sm1 Tm1 Tl2'
_symmetry_space_group_name_H-M 'P 1'
_symmetry_Int_Tables_number 1
_symmetry_space_group_name_Hall 'P 1'
_cell_length_a 5.354
_cell_length_b 5.354
_cell_length_c 5.354
_cell_angle_alpha 60.00
_cell_angle_beta 60.00
_cell_angle_gamma 60.00
loop_
_atom_site_label
_atom_site_fract_x
_atom_site_fract_y
_atom_site_fract_z
Sm1 0.250 0.250 0.250
Tm1 0.750 0.750 0.750
Tl1 0.000 0.000 0.000
Tl2 0.500 0.500 0.500
```



The highest energy relative to the elements belongs to which entry? Sm2Tl



Among the records above, which one has the lowest mass density? Sm2Tl



Copy entry 1 word for word.
Here is a relaxed SmTl crystal from the Materials Project. Energies are from r2SCAN.

## Properties
The calculated total energy comes out at -83.90 eV per formula unit. For the total magnetization, the calculation gives 0.000 μB/f.u. The calculation puts the mass density at 10.43 g cm⁻³. As for the energy relative to the elements: -47.5 kJ per mole of atoms.

```
data_SmTl
_chemical_formula_sum 'Sm2 Tl2'
_symmetry_space_group_name_H-M 'P 1'
_symmetry_Int_Tables_number 1
_symmetry_space_group_name_Hall 'P 1'
_cell_length_a 4.252
_cell_length_b 5.153
_cell_length_c 5.153
_cell_angle_alpha 90.00
_cell_angle_beta 90.00
_cell_angle_gamma 90.00
loop_
_atom_site_label
_atom_site_fract_x
_atom_site_fract_y
_atom_site_fract_z
Sm1 0.000 0.000 0.000
Sm2 0.000 0.500 0.500
Tl1 0.500 0.000 0.500
Tl2 0.500 0.500 0.000
```



The highest mass density belongs to which entry? SmTmTl2